# 1
r2SCAN TiSnPb2O6, relaxed; ΔH_f (0 K) = -2.042 eV/atom
1.0
0.000 4.010 4.010
4.010 0.000 4.010
4.010 4.010 0.000
Ti Sn Pb O
1 1 2 6
Direct
0.000 0.000 0.000 Ti
0.500 0.500 0.500 Sn
0.250 0.250 0.250 Pb
0.750 0.750 0.750 Pb
0.244 0.244 0.756 O
0.244 0.756 0.244 O
0.244 0.756 0.756 O
0.756 0.244 0.244 O
0.756 0.244 0.756 O
0.756 0.756 0.244 O



# 2
r2SCAN KMnF3, relaxed; ΔH_f (0 K) = -3.010 eV/atom
1.0
5.887 0.000 0.000
0.000 8.390 0.000
-0.006 0.000 5.889
K Mn F
4 4 12
Direct
0.005 0.250 0.496 K
0.493 0.750 0.003 K
0.507 0.250 0.997 K
0.995 0.750 0.504 K
0.000 0.000 0.000 Mn
0.000 0.500 0.000 Mn
0.500 0.000 0.500 Mn
0.500 0.500 0.500 Mn
0.005 0.250 0.021 F
0.220 0.513 0.281 F
0.220 0.987 0.281 F
0.280 0.007 0.781 F
0.280 0.493 0.781 F
0.491 0.250 0.480 F
0.509 0.750 0.520 F
0.720 0.507 0.219 F
0.720 0.993 0.219 F
0.780 0.013 0.719 F
0.780 0.487 0.719 F
0.995 0.750 0.979 F